Entry 1:
Below is a relaxed ReC3O4F crystal, with properties calculated at the PBE-GGA level.

```
data_ReC3O4F
_symmetry_space_group_name_H-M 'I -4'
_symmetry_Int_Tables_number 82
_cell_length_a 11.953
_cell_length_b 11.953
_cell_length_c 9.266
_cell_angle_alpha 90.00
_cell_angle_beta 90.00
_cell_angle_gamma 90.00
loop_
_symmetry_equiv_pos_as_xyz
'x,y,z'
'y,-x,-z'
'-x,-y,z'
'-y,x,-z'
'x+1/2,y+1/2,z+1/2'
'y+1/2,-x+1/2,-z+1/2'
'-x+1/2,-y+1/2,z+1/2'
'-y+1/2,x+1/2,-z+1/2'
loop_
_atom_site_label
_atom_site_type_symbol
_atom_site_fract_x
_atom_site_fract_y
_atom_site_fract_z
Re1 Re 0.038 0.352 0.118
C1 C 0.032 0.336 0.914
C2 C 0.033 0.789 0.128
C3 C 0.175 0.273 0.113
O1 O 0.006 0.085 0.481
O2 O 0.026 0.325 0.790
O3 O 0.078 0.876 0.136
O4 O 0.226 0.739 0.891
F1 F 0.028 0.396 0.353
```

Summary:
- final energy (eV/atom) = -7.603
- calculated density (kg/m3) = 3063
- ΔE_f (eV/atom) = -0.99

***

Entry 2:
Below is a relaxed RuC4O4F6 crystal, with properties calculated at the PBE-GGA level.

```
data_RuC4O4F6
_symmetry_space_group_name_H-M 'P -1'
_symmetry_Int_Tables_number 2
_cell_length_a 5.344
_cell_length_b 8.747
_cell_length_c 9.253
_cell_angle_alpha 81.94
_cell_angle_beta 84.17
_cell_angle_gamma 87.12
loop_
_symmetry_equiv_pos_as_xyz
'x,y,z'
'-x,-y,-z'
loop_
_atom_site_label
_atom_site_type_symbol
_atom_site_fract_x
_atom_site_fract_y
_atom_site_fract_z
Ru1 Ru 0.180 0.465 0.057
C1 C 0.044 0.243 0.877
C2 C 0.076 0.098 0.798
C3 C 0.272 0.640 0.765
C4 C 0.432 0.716 0.626
O1 O 0.037 0.643 0.763
O2 O 0.144 0.667 0.152
O3 O 0.212 0.263 0.960
O4 O 0.394 0.578 0.872
F1 F 0.149 0.956 0.221
F2 F 0.205 0.133 0.665
F3 F 0.207 0.982 0.875
F4 F 0.286 0.773 0.519
F5 F 0.401 0.391 0.424
F6 F 0.437 0.167 0.340
```

Summary:
- final energy (eV/atom) = -6.449
- calculated density (kg/m3) = 2552
- ΔE_f (eV/atom) = -1.65

***

Entry 3:
Below is a relaxed Sb4RuC6O6F22 crystal, with properties calculated at the PBE-GGA level.

```
data_Sb4RuC6O6F22
_symmetry_space_group_name_H-M 'P 1 21/c 1'
_symmetry_Int_Tables_number 14
_cell_length_a 9.992
_cell_length_b 12.784
_cell_length_c 11.813
_cell_angle_alpha 90.00
_cell_angle_beta 121.46
_cell_angle_gamma 90.00
loop_
_symmetry_equiv_pos_as_xyz
'x,y,z'
'-x,-y,-z'
'-x,y+1/2,-z+1/2'
'x,-y+1/2,z+1/2'
loop_
_atom_site_label
_atom_site_type_symbol
_atom_site_fract_x
_atom_site_fract_y
_atom_site_fract_z
Sb1 Sb 0.100 0.200 0.004
Sb2 Sb 0.259 0.632 0.273
Ru1 Ru 0.500 0.000 0.500
C1 C 0.270 0.523 0.926
C2 C 0.450 0.147 0.426
C3 C 0.470 0.553 0.828
O1 O 0.138 0.533 0.881
O2 O 0.418 0.229 0.384
O3 O 0.452 0.583 0.730
F1 F 0.035 0.234 0.610
F2 F 0.036 0.684 0.137
F3 F 0.082 0.615 0.579
F4 F 0.152 0.152 0.879
F5 F 0.168 0.589 0.372
F6 F 0.202 0.504 0.176
F7 F 0.231 0.104 0.141
F8 F 0.264 0.197 0.559
F9 F 0.294 0.730 0.847
F10 F 0.322 0.682 0.155
F11 F 0.465 0.589 0.401
```

Summary:
- final energy (eV/atom) = -5.673
- calculated density (kg/m3) = 3030
- ΔE_f (eV/atom) = -2.12

***

Entry 4:
Below is a relaxed ZnC2S2O6F6 crystal, with properties calculated at the PBE-GGA level.

```
data_ZnC2S2O6F6
_symmetry_space_group_name_H-M 'R -3'
_symmetry_Int_Tables_number 148
_symmetry_space_group_name_Hall '-R 3'
_cell_length_a 5.0781
_cell_length_b 5.0781
_cell_length_c 31.5190
_cell_angle_alpha 90.00
_cell_angle_beta 90.00
_cell_angle_gamma 120.00
loop_
_atom_site_label
_atom_site_type_symbol
_atom_site_fract_x
_atom_site_fract_y
_atom_site_fract_z
Zn1 Zn 0.0000 0.0000 0.0000
C1 C 0.0000 0.0000 0.2231
S1 S 0.0000 0.0000 0.2826
O1 O 0.0339 0.4112 0.3730
F1 F 0.0210 0.2600 0.2087
```

Summary:
- final energy (eV/atom) = -5.486
- calculated density (kg/m3) = 2573
- ΔE_f (eV/atom) = -1.82

***

Entry 5:
Below is a relaxed Sb2C3OF18 crystal, with properties calculated at the PBE-GGA level.

```
data_Sb2C3OF18
_symmetry_space_group_name_H-M 'P -1'
_symmetry_Int_Tables_number 2
_cell_length_a 8.907
_cell_length_b 10.395
_cell_length_c 10.422
_cell_angle_alpha 78.33
_cell_angle_beta 66.47
_cell_angle_gamma 68.49
loop_
_symmetry_equiv_pos_as_xyz
'x,y,z'
'-x,-y,-z'
loop_
_atom_site_label
_atom_site_type_symbol
_atom_site_fract_x
_atom_site_fract_y
_atom_site_fract_z
Sb1 Sb 0.156 0.183 0.325
Sb2 Sb 0.318 0.919 0.809
C1 C 0.252 0.520 0.298
C2 C 0.270 0.409 0.814
C3 C 0.451 0.298 0.769
O1 O 0.450 0.718 0.348
F1 F 0.082 0.747 0.572
F2 F 0.085 0.007 0.824
F3 F 0.113 0.266 0.161
F4 F 0.142 0.444 0.318
F5 F 0.149 0.351 0.831
F6 F 0.160 0.653 0.295
F7 F 0.190 0.996 0.320
F8 F 0.203 0.186 0.485
F9 F 0.232 0.462 0.936
F10 F 0.266 0.513 0.713
F11 F 0.293 0.761 0.933
F12 F 0.309 0.485 0.404
F13 F 0.315 0.005 0.954
F14 F 0.383 0.489 0.176
F15 F 0.385 0.810 0.657
F16 F 0.394 0.186 0.217
F17 F 0.411 0.051 0.679
F18 F 0.483 0.221 0.883
```

Summary:
- final energy (eV/atom) = -5.002
- calculated density (kg/m3) = 2578
- ΔE_f (eV/atom) = -2.24